VASP calculation (PBE) on a relaxed structure of Na2Ti4O9.

Cell: 8.871 10.726 12.473 Å, 101.90 110.78 90.01°
Space group P1 (No. 1)
Asymmetric unit:
Na  0.000  0.000  0.000 x1
Na  0.046  0.299  0.132 x1
Na  0.108  0.092  0.585 x1
Na  0.155  0.390  0.717 x1
Na  0.207  0.795  0.145 x1
Na  0.382  0.289  0.135 x1
Na  0.439  0.092  0.583 x1
Na  0.533  0.402  0.712 x1
Na  0.628  0.992  0.004 x1
Na  0.715  0.298  0.133 x1
Na  0.773  0.101  0.584 x1
Na  0.926  0.594  0.573 x1
Ti  0.016  0.889  0.736 x1
Ti  0.139  0.502  0.982 x1
Ti  0.188  0.321  0.416 x1
Ti  0.197  0.812  0.428 x1
Ti  0.247  0.704  0.868 x1
Ti  0.250  0.185  0.868 x1
Ti  0.296  0.569  0.295 x1
Ti  0.302  0.074  0.306 x1
Ti  0.348  0.878  0.732 x1
Ti  0.473  0.507  0.982 x1
Ti  0.526  0.323  0.418 x1
Ti  0.530  0.813  0.430 x1
Ti  0.575  0.694  0.859 x1
Ti  0.577  0.196  0.858 x1
Ti  0.625  0.576  0.288 x1
Ti  0.628  0.065  0.299 x1
Ti  0.682  0.882  0.736 x1
Ti  0.807  0.513  0.986 x1
Ti  0.852  0.313  0.410 x1
Ti  0.859  0.820  0.423 x1
Ti  0.907  0.205  0.851 x1
Ti  0.907  0.687  0.852 x1
Ti  0.958  0.577  0.290 x1
Ti  0.965  0.065  0.299 x1
O  0.004  0.916  0.376 x1
O  0.024  0.205  0.750 x1
O  0.037  0.704  0.451 x1
O  0.056  0.572  0.811 x1
O  0.069  0.373  0.514 x1
O  0.085  0.012  0.201 x1
O  0.099  0.818  0.909 x1
O  0.117  0.685  0.267 x1
O  0.130  0.184  0.968 x1
O  0.150  0.473  0.341 x1
O  0.167  0.756  0.712 x1
O  0.194  0.141  0.427 x1
O  0.215  0.477  0.133 x1
O  0.216  0.999  0.798 x1
O  0.274  0.913  0.585 x1
O  0.275  0.389  0.919 x1
O  0.293  0.248  0.289 x1
O  0.316  0.635  0.010 x1
O  0.335  0.912  0.375 x1
O  0.358  0.211  0.752 x1
O  0.374  0.703  0.452 x1
O  0.390  0.570  0.817 x1
O  0.404  0.367  0.515 x1
O  0.414  0.011  0.206 x1
O  0.434  0.819  0.903 x1
O  0.446  0.684  0.267 x1
O  0.469  0.182  0.970 x1
O  0.486  0.473  0.342 x1
O  0.502  0.755  0.709 x1
O  0.529  0.142  0.428 x1
O  0.546  0.999  0.797 x1
O  0.547  0.475  0.132 x1
O  0.608  0.913  0.586 x1
O  0.609  0.391  0.919 x1
O  0.625  0.246  0.288 x1
O  0.652  0.635  0.009 x1
O  0.668  0.915  0.375 x1
O  0.686  0.209  0.747 x1
O  0.709  0.704  0.451 x1
O  0.722  0.571  0.817 x1
O  0.741  0.376  0.512 x1
O  0.749  0.018  0.201 x1
O  0.765  0.819  0.900 x1
O  0.780  0.686  0.266 x1
O  0.796  0.178  0.965 x1
O  0.820  0.477  0.344 x1
O  0.840  0.754  0.708 x1
O  0.861  0.139  0.427 x1
O  0.880  0.000  0.798 x1
O  0.880  0.477  0.133 x1
O  0.940  0.390  0.921 x1
O  0.940  0.914  0.585 x1
O  0.959  0.246  0.288 x1
O  0.988  0.635  0.007 x1

ΔH_f (0 K) (kJ/mol of atoms): -310.0

VASP calculation (PBE) on a relaxed structure of Ta10Si2MoSe8.

Cell: 11.937 19.497 3.493 Å, 90.00 90.00 90.00°
Space group Pnnm (No. 58)
Asymmetric unit:
Ta  0.048  0.241  0.000 x4
Ta  0.063  0.113  0.500 x4
Ta  0.161  0.787  0.500 x4
Ta  0.177  0.953  0.500 x4
Ta  0.179  0.355  0.500 x4
Si  0.092  0.872  0.000 x4
Mo  0.000  0.000  0.000 x2
Se  0.040  0.673  0.500 x4
Se  0.109  0.447  0.000 x4
Se  0.211  0.056  0.000 x4
Se  0.216  0.212  0.500 x4

ΔH_f (0 K) (kJ/mol of atoms): -81.4

VASP calculation (PBE) on a relaxed structure of K2MgSb2O6.

Cell: 5.6841 5.6841 19.1298 Å, 90.00 90.00 120.00°
Space group R-3 (No. 148, hexagonal axes)
Asymmetric unit:
K  0.0000  0.0000  0.1659 x6
Mg  0.0000  0.0000  0.0000 x3
Sb  0.0000  0.0000  0.3427 x6
O  0.0127  0.3143  0.7215 x18

ΔH_f (0 K) (kJ/mol of atoms): -189.7
Offset from the most stable computed form (meV per atom): 0

> Which value of ΔH_f (0 K) does entry 2 give?

-81.4 kJ/mol of atoms

> The lowest ΔH_f (0 K) belongs to which entry?

Na2Ti4O9